# Li4VF8 | Materials Project | GGA+U | optimized geometry
# * ΔE to the lowest computed polymorph: 0.00 kJ/mol of atoms
# * largest piezoelectric modulus: 2.19 C/m2
data_Li4VF8
_chemical_formula_sum 'Li4 V1 F8'
_cell_length_a 6.082
_cell_length_b 5.176
_cell_length_c 5.273
_cell_angle_alpha 67.88
_cell_angle_beta 90.00
_cell_angle_gamma 90.00
_symmetry_space_group_name_H-M 'P 1'
_symmetry_Int_Tables_number 1
loop_
_symmetry_equiv_pos_as_xyz
'x,y,z'
loop_
_atom_site_label
_atom_site_type_symbol
_atom_site_fract_x
_atom_site_fract_y
_atom_site_fract_z
Li1 Li 0.815 0.000 0.500
Li2 Li 0.008 0.500 0.500
Li3 Li 0.764 0.500 0.000
Li4 Li 0.210 0.500 0.000
V1 V 0.496 0.500 0.500
F1 F 0.510 0.705 0.733
F2 F 0.982 0.699 0.738
F3 F 0.719 0.738 0.284
F4 F 0.279 0.714 0.267
F5 F 0.279 0.286 0.733
F6 F 0.719 0.262 0.716
F7 F 0.982 0.301 0.262
F8 F 0.510 0.295 0.267

---

# Li3VF5 | Materials Project | GGA+U | optimized geometry
# * ΔE to the lowest computed polymorph: 0.00 kJ/mol of atoms
data_Li3VF5
_chemical_formula_sum 'Li12 V4 F20'
_cell_length_a 6.634
_cell_length_b 7.889
_cell_length_c 8.107
_cell_angle_alpha 90.00
_cell_angle_beta 90.00
_cell_angle_gamma 90.00
_symmetry_space_group_name_H-M 'P 1'
_symmetry_Int_Tables_number 1
loop_
_symmetry_equiv_pos_as_xyz
'x,y,z'
loop_
_atom_site_label
_atom_site_type_symbol
_atom_site_fract_x
_atom_site_fract_y
_atom_site_fract_z
Li1 Li 0.984 0.926 0.228
Li2 Li 0.984 0.574 0.228
Li3 Li 0.792 0.250 0.528
Li4 Li 0.708 0.750 0.028
Li5 Li 0.516 0.426 0.728
Li6 Li 0.516 0.074 0.728
Li7 Li 0.484 0.926 0.272
Li8 Li 0.484 0.574 0.272
Li9 Li 0.292 0.250 0.972
Li10 Li 0.208 0.750 0.472
Li11 Li 0.016 0.074 0.772
Li12 Li 0.016 0.426 0.772
V1 V 0.771 0.750 0.602
V2 V 0.729 0.250 0.102
V3 V 0.271 0.750 0.898
V4 V 0.229 0.250 0.398
F1 F 0.994 0.250 0.956
F2 F 0.926 0.750 0.378
F3 F 0.920 0.250 0.312
F4 F 0.777 0.483 0.641
F5 F 0.777 0.017 0.641
F6 F 0.723 0.983 0.141
F7 F 0.723 0.517 0.141
F8 F 0.580 0.750 0.812
F9 F 0.574 0.250 0.878
F10 F 0.506 0.750 0.456
F11 F 0.494 0.250 0.544
F12 F 0.426 0.750 0.122
F13 F 0.420 0.250 0.188
F14 F 0.277 0.483 0.859
F15 F 0.277 0.017 0.859
F16 F 0.223 0.983 0.359
F17 F 0.223 0.517 0.359
F18 F 0.080 0.750 0.688
F19 F 0.074 0.250 0.622
F20 F 0.006 0.750 0.044

---

# LiVF5 | Materials Project | GGA+U | optimized geometry
# * ΔE to the lowest computed polymorph: 8.21 kJ/mol of atoms
data_LiVF5
_chemical_formula_sum 'Li4 V4 F20'
_cell_length_a 5.994
_cell_length_b 5.994
_cell_length_c 10.877
_cell_angle_alpha 90.00
_cell_angle_beta 90.00
_cell_angle_gamma 98.87
_symmetry_space_group_name_H-M 'P 1'
_symmetry_Int_Tables_number 1
loop_
_symmetry_equiv_pos_as_xyz
'x,y,z'
loop_
_atom_site_label
_atom_site_type_symbol
_atom_site_fract_x
_atom_site_fract_y
_atom_site_fract_z
Li1 Li 0.847 0.153 0.000
Li2 Li 0.653 0.347 0.500
Li3 Li 0.347 0.653 0.500
Li4 Li 0.153 0.847 0.000
V1 V 0.154 0.154 0.394
V2 V 0.346 0.346 0.894
V3 V 0.654 0.654 0.106
V4 V 0.846 0.846 0.606
F1 F 0.869 0.131 0.500
F2 F 0.997 0.997 0.733
F3 F 0.421 0.080 0.352
F4 F 0.420 0.079 0.852
F5 F 0.171 0.171 0.026
F6 F 0.631 0.369 0.000
F7 F 0.329 0.329 0.526
F8 F 0.080 0.421 0.352
F9 F 0.079 0.420 0.852
F10 F 0.503 0.503 0.233
F11 F 0.497 0.497 0.767
F12 F 0.921 0.580 0.148
F13 F 0.920 0.579 0.648
F14 F 0.671 0.671 0.474
F15 F 0.369 0.631 0.000
F16 F 0.829 0.829 0.974
F17 F 0.580 0.921 0.148
F18 F 0.579 0.920 0.648
F19 F 0.003 0.003 0.267
F20 F 0.131 0.869 0.500

---

Entry from Materials Project: a relaxed structure of LiVF6 (GGA+U).

Structure (CIF):
```
data_LiVF6
_chemical_formula_sum 'Li6 V6 F36'
_cell_length_a 8.662
_cell_length_b 8.662
_cell_length_c 10.088
_cell_angle_alpha 84.99
_cell_angle_beta 84.99
_cell_angle_gamma 62.19
_symmetry_space_group_name_H-M 'P 1'
_symmetry_Int_Tables_number 1
loop_
_symmetry_equiv_pos_as_xyz
'x,y,z'
loop_
_atom_site_label
_atom_site_type_symbol
_atom_site_fract_x
_atom_site_fract_y
_atom_site_fract_z
Li1 Li 0.654 0.341 0.480
Li2 Li 0.341 0.654 0.980
Li3 Li 0.919 0.418 0.960
Li4 Li 0.418 0.919 0.460
Li5 Li 0.963 0.640 0.437
Li6 Li 0.640 0.963 0.937
V1 V 0.998 0.007 0.501
V2 V 0.341 0.332 0.282
V3 V 0.007 0.998 0.001
V4 V 0.332 0.341 0.782
V5 V 0.662 0.664 0.208
V6 V 0.664 0.662 0.708
F1 F 0.080 0.067 0.347
F2 F 0.067 0.080 0.847
F3 F 0.410 0.123 0.380
F4 F 0.421 0.131 0.884
F5 F 0.250 0.258 0.167
F6 F 0.258 0.250 0.667
F7 F 0.780 0.086 0.438
F8 F 0.131 0.421 0.384
F9 F 0.547 0.252 0.193
F10 F 0.793 0.059 0.937
F11 F 0.123 0.410 0.880
F12 F 0.544 0.266 0.695
F13 F 0.431 0.402 0.412
F14 F 0.935 0.217 0.061
F15 F 0.266 0.544 0.195
F16 F 0.402 0.431 0.912
F17 F 0.909 0.229 0.556
F18 F 0.252 0.547 0.693
F19 F 0.728 0.460 0.304
F20 F 0.059 0.793 0.437
F21 F 0.575 0.591 0.084
F22 F 0.760 0.456 0.804
F23 F 0.086 0.780 0.938
F24 F 0.591 0.575 0.584
F25 F 0.456 0.760 0.304
F26 F 0.871 0.577 0.113
F27 F 0.229 0.909 0.056
F28 F 0.460 0.728 0.804
F29 F 0.872 0.598 0.612
F30 F 0.217 0.935 0.561
F31 F 0.753 0.738 0.332
F32 F 0.738 0.753 0.832
F33 F 0.598 0.872 0.112
F34 F 0.577 0.871 0.613
F35 F 0.932 0.937 0.157
F36 F 0.937 0.932 0.657
```

---

# LiVF5 | Materials Project | GGA+U | optimized geometry
# * ΔE to the lowest computed polymorph: 0.21 kJ/mol of atoms
data_LiVF5
_chemical_formula_sum 'Li8 V8 F40'
_cell_length_a 5.730
_cell_length_b 7.709
_cell_length_c 16.814
_cell_angle_alpha 90.00
_cell_angle_beta 90.00
_cell_angle_gamma 90.00
_symmetry_space_group_name_H-M 'P 1'
_symmetry_Int_Tables_number 1
loop_
_symmetry_equiv_pos_as_xyz
'x,y,z'
loop_
_atom_site_label
_atom_site_type_symbol
_atom_site_fract_x
_atom_site_fract_y
_atom_site_fract_z
Li1 Li 0.250 0.816 0.416
Li2 Li 0.250 0.316 0.084
Li3 Li 0.250 0.280 0.569
Li4 Li 0.250 0.780 0.931
Li5 Li 0.750 0.720 0.431
Li6 Li 0.750 0.220 0.069
Li7 Li 0.750 0.684 0.916
Li8 Li 0.750 0.184 0.584
V1 V 0.250 0.942 0.142
V2 V 0.250 0.442 0.358
V3 V 0.250 0.888 0.624
V4 V 0.250 0.388 0.876
V5 V 0.750 0.612 0.124
V6 V 0.750 0.558 0.642
V7 V 0.750 0.058 0.858
V8 V 0.750 0.112 0.376
F1 F 0.499 0.729 0.660
F2 F 0.499 0.229 0.840
F3 F 0.473 0.616 0.382
F4 F 0.473 0.116 0.118
F5 F 0.471 0.047 0.584
F6 F 0.471 0.547 0.916
F7 F 0.250 0.478 0.254
F8 F 0.250 0.982 0.720
F9 F 0.250 0.978 0.246
F10 F 0.250 0.867 0.038
F11 F 0.250 0.367 0.462
F12 F 0.250 0.482 0.780
F13 F 0.250 0.763 0.530
F14 F 0.250 0.263 0.970
F15 F 0.029 0.547 0.916
F16 F 0.029 0.047 0.584
F17 F 0.027 0.616 0.382
F18 F 0.027 0.116 0.118
F19 F 0.001 0.729 0.660
F20 F 0.001 0.229 0.840
F21 F 0.999 0.771 0.160
F22 F 0.999 0.271 0.340
F23 F 0.973 0.884 0.882
F24 F 0.973 0.384 0.618
F25 F 0.971 0.953 0.416
F26 F 0.971 0.453 0.084
F27 F 0.750 0.522 0.746
F28 F 0.750 0.518 0.220
F29 F 0.750 0.633 0.538
F30 F 0.750 0.018 0.280
F31 F 0.750 0.237 0.470
F32 F 0.750 0.737 0.030
F33 F 0.750 0.133 0.962
F34 F 0.750 0.022 0.754
F35 F 0.529 0.453 0.084
F36 F 0.529 0.953 0.416
F37 F 0.527 0.884 0.882
F38 F 0.527 0.384 0.618
F39 F 0.501 0.771 0.160
F40 F 0.501 0.271 0.340

---

Entry from Materials Project: a relaxed structure of LiVF6 (GGA+U).

Structure (CIF):
```
data_LiVF6
_chemical_formula_sum 'Li8 V8 F48'
_cell_length_a 9.388
_cell_length_b 9.212
_cell_length_c 15.620
_cell_angle_alpha 54.26
_cell_angle_beta 90.00
_cell_angle_gamma 90.00
_symmetry_space_group_name_H-M 'P 1'
_symmetry_Int_Tables_number 1
loop_
_symmetry_equiv_pos_as_xyz
'x,y,z'
loop_
_atom_site_label
_atom_site_type_symbol
_atom_site_fract_x
_atom_site_fract_y
_atom_site_fract_z
Li1 Li 0.130 0.253 0.854
Li2 Li 0.870 0.963 0.141
Li3 Li 0.627 0.750 0.646
Li4 Li 0.501 0.465 0.007
Li5 Li 0.130 0.963 0.641
Li6 Li 0.870 0.253 0.354
Li7 Li 0.373 0.750 0.146
Li8 Li 0.499 0.465 0.507
V1 V 0.280 0.629 0.614
V2 V 0.783 0.373 0.882
V3 V 0.719 0.870 0.381
V4 V 0.218 0.133 0.121
V5 V 0.281 0.870 0.881
V6 V 0.782 0.133 0.621
V7 V 0.720 0.629 0.114
V8 V 0.217 0.373 0.382
F1 F 0.407 0.478 0.612
F2 F 0.666 0.221 0.882
F3 F 0.617 0.668 0.425
F4 F 0.322 0.932 0.161
F5 F 0.139 0.547 0.579
F6 F 0.931 0.298 0.840
F7 F 0.183 0.166 0.994
F8 F 0.753 0.906 0.255
F9 F 0.058 0.993 0.173
F10 F 0.878 0.740 0.435
F11 F 0.241 0.455 0.754
F12 F 0.823 0.196 0.021
F13 F 0.323 0.800 0.481
F14 F 0.740 0.547 0.744
F15 F 0.382 0.263 0.064
F16 F 0.563 0.003 0.328
F17 F 0.253 0.093 0.244
F18 F 0.683 0.832 0.508
F19 F 0.429 0.699 0.660
F20 F 0.637 0.454 0.922
F21 F 0.163 0.784 0.619
F22 F 0.903 0.519 0.886
F23 F 0.823 0.070 0.338
F24 F 0.119 0.328 0.076
F25 F 0.383 0.668 0.925
F26 F 0.678 0.932 0.661
F27 F 0.593 0.478 0.112
F28 F 0.334 0.221 0.382
F29 F 0.861 0.547 0.079
F30 F 0.069 0.298 0.340
F31 F 0.817 0.166 0.494
F32 F 0.247 0.906 0.755
F33 F 0.942 0.993 0.673
F34 F 0.122 0.740 0.935
F35 F 0.759 0.455 0.254
F36 F 0.177 0.196 0.521
F37 F 0.677 0.800 0.981
F38 F 0.260 0.547 0.244
F39 F 0.618 0.263 0.564
F40 F 0.437 0.003 0.828
F41 F 0.747 0.093 0.744
F42 F 0.317 0.832 0.008
F43 F 0.571 0.699 0.160
F44 F 0.363 0.454 0.422
F45 F 0.177 0.070 0.838
F46 F 0.881 0.328 0.576
F47 F 0.837 0.784 0.119
F48 F 0.097 0.519 0.386
```

---

# Li3VF6 | Materials Project | GGA+U | optimized geometry
# * ΔE to the lowest computed polymorph: 3.36 kJ/mol of atoms
data_Li3VF6
_chemical_formula_sum 'Li6 V2 F12'
_cell_length_a 5.154
_cell_length_b 5.154
_cell_length_c 9.704
_cell_angle_alpha 90.00
_cell_angle_beta 90.00
_cell_angle_gamma 120.00
_symmetry_space_group_name_H-M 'P 1'
_symmetry_Int_Tables_number 1
loop_
_symmetry_equiv_pos_as_xyz
'x,y,z'
loop_
_atom_site_label
_atom_site_type_symbol
_atom_site_fract_x
_atom_site_fract_y
_atom_site_fract_z
Li1 Li 0.333 0.667 0.947
Li2 Li 0.000 0.000 0.250
Li3 Li 0.000 0.000 0.750
Li4 Li 0.333 0.667 0.553
Li5 Li 0.667 0.333 0.053
Li6 Li 0.667 0.333 0.447
V1 V 0.333 0.667 0.250
V2 V 0.667 0.333 0.750
F1 F 0.028 0.672 0.369
F2 F 0.328 0.972 0.131
F3 F 0.028 0.355 0.131
F4 F 0.328 0.355 0.369
F5 F 0.645 0.972 0.369
F6 F 0.355 0.328 0.869
F7 F 0.645 0.672 0.131
F8 F 0.355 0.028 0.631
F9 F 0.672 0.645 0.631
F10 F 0.972 0.645 0.869
F11 F 0.672 0.028 0.869
F12 F 0.972 0.328 0.631

---

# LiVF5 | Materials Project | GGA+U | optimized geometry
# * ΔE to the lowest computed polymorph: 7.54 kJ/mol of atoms
data_LiVF5
_chemical_formula_sum 'Li4 V4 F20'
_cell_length_a 8.942
_cell_length_b 5.266
_cell_length_c 9.496
_cell_angle_alpha 58.41
_cell_angle_beta 90.00
_cell_angle_gamma 90.00
_symmetry_space_group_name_H-M 'P 1'
_symmetry_Int_Tables_number 1
loop_
_symmetry_equiv_pos_as_xyz
'x,y,z'
loop_
_atom_site_label
_atom_site_type_symbol
_atom_site_fract_x
_atom_site_fract_y
_atom_site_fract_z
Li1 Li 0.593 0.170 0.711
Li2 Li 0.093 0.830 0.789
Li3 Li 0.907 0.170 0.211
Li4 Li 0.407 0.830 0.289
V1 V 0.129 0.492 0.376
V2 V 0.629 0.508 0.124
V3 V 0.371 0.492 0.876
V4 V 0.871 0.508 0.624
F1 F 0.714 0.812 0.122
F2 F 0.718 0.453 0.508
F3 F 0.800 0.160 0.801
F4 F 0.019 0.233 0.593
F5 F 0.476 0.525 0.254
F6 F 0.976 0.475 0.246
F7 F 0.519 0.767 0.907
F8 F 0.214 0.188 0.378
F9 F 0.782 0.453 0.008
F10 F 0.300 0.840 0.699
F11 F 0.700 0.160 0.301
F12 F 0.218 0.547 0.992
F13 F 0.786 0.812 0.622
F14 F 0.481 0.233 0.093
F15 F 0.024 0.525 0.754
F16 F 0.524 0.475 0.746
F17 F 0.981 0.767 0.407
F18 F 0.200 0.840 0.199
F19 F 0.282 0.547 0.492
F20 F 0.286 0.188 0.878

---

no.,ΔE_f (eV per atom),total energy (Ry/atom)
1,-3.09,-0.37803
2,-3.06,-0.39103
3,-3.01,-0.39508
4,-2.93,-0.38086
5,-3.09,-0.40118
6,-2.94,-0.38183
7,-3.18,-0.39388
8,-3.02,-0.39559